Computed, not measured: a relaxed Ce3Si6Pd20 crystal at the PBE-GGA level of DFT.

Cell lengths 8.863, 8.863, 8.863 Å; angles 60.00, 60.00, 60.00 degrees
Positions (direct):
Ce: 0.000 0.000 0.000
Ce: 0.250 0.250 0.250
Ce: 0.750 0.750 0.750
Si: 0.252 0.252 0.748
Si: 0.252 0.748 0.252
Si: 0.252 0.748 0.748
Si: 0.748 0.252 0.252
Si: 0.748 0.252 0.748
Si: 0.748 0.748 0.252
Pd: 0.124 0.124 0.124
Pd: 0.124 0.124 0.628
Pd: 0.124 0.628 0.124
Pd: 0.151 0.500 0.500
Pd: 0.151 0.500 0.849
Pd: 0.151 0.849 0.500
Pd: 0.372 0.876 0.876
Pd: 0.500 0.151 0.500
Pd: 0.500 0.151 0.849
Pd: 0.500 0.500 0.151
Pd: 0.500 0.500 0.849
Pd: 0.500 0.849 0.151
Pd: 0.500 0.849 0.500
Pd: 0.628 0.124 0.124
Pd: 0.849 0.151 0.500
Pd: 0.849 0.500 0.151
Pd: 0.849 0.500 0.500
Pd: 0.876 0.372 0.876
Pd: 0.876 0.876 0.372
Pd: 0.876 0.876 0.876

Calculated values
The calculation puts the relative energy among the computed polymorphs at 188 meV/atom. As for the formation energy from the elements: -596 meV/atom. Its total energy is -0.434 Ry/atom.